Record 1
VASP calculation (PBE-GGA) on a relaxed structure of GeRh3.

Unit cell a=5.517 b=5.517 c=4.360 alpha=90.00 beta=90.00 gamma=120.00
Element x y z (fractional)
1 Ge 0.333 0.667 0.250
2 Ge 0.667 0.333 0.750
3 Rh 0.167 0.333 0.750
4 Rh 0.167 0.833 0.750
5 Rh 0.333 0.167 0.250
6 Rh 0.667 0.833 0.750
7 Rh 0.833 0.167 0.250
8 Rh 0.833 0.667 0.250

Calculated values
The value obtained for the total magnetic moment is 0.0 μB per formula unit.

***

Record 2
VASP calculation (PBE-GGA) on a relaxed structure of Ge4Rh.

Unit cell a=6.303 b=6.303 c=7.971 alpha=90.00 beta=90.00 gamma=120.00
Element x y z (fractional)
1 Ge 0.000 0.076 0.167
2 Ge 0.000 0.614 0.167
3 Ge 0.076 0.000 0.833
4 Ge 0.223 0.488 0.944
5 Ge 0.265 0.777 0.610
6 Ge 0.386 0.386 0.500
7 Ge 0.488 0.223 0.056
8 Ge 0.512 0.735 0.277
9 Ge 0.614 0.000 0.833
10 Ge 0.735 0.512 0.723
11 Ge 0.777 0.265 0.390
12 Ge 0.924 0.924 0.500
13 Rh 0.000 0.318 0.667
14 Rh 0.318 0.000 0.333
15 Rh 0.682 0.682 0.000

***

Record 3
VASP calculation (PBE-GGA) on a relaxed structure of SmGe4Rh6.

Unit cell a=7.231 b=7.231 c=3.881 alpha=90.00 beta=90.00 gamma=120.00
Element x y z (fractional)
1 Sm 0.000 0.000 0.000
2 Ge 0.198 0.395 0.500
3 Ge 0.198 0.802 0.500
4 Ge 0.605 0.802 0.500
5 Ge 0.667 0.333 0.000
6 Rh 0.067 0.533 0.000
7 Rh 0.400 0.200 0.500
8 Rh 0.467 0.533 0.000
9 Rh 0.467 0.933 0.000
10 Rh 0.800 0.200 0.500
11 Rh 0.800 0.600 0.500

***

Record 4
VASP calculation (PBE-GGA) on a relaxed structure of Sm2Ge5Rh3.

Unit cell a=8.422 b=8.422 c=5.988 alpha=109.84 beta=109.84 gamma=92.67
Element x y z (fractional)
1 Sm 0.094 0.367 0.233
2 Sm 0.367 0.094 0.733
3 Sm 0.633 0.906 0.267
4 Sm 0.906 0.633 0.767
5 Ge 0.007 0.993 0.750
6 Ge 0.237 0.431 0.834
7 Ge 0.277 0.723 0.750
8 Ge 0.286 0.714 0.250
9 Ge 0.431 0.237 0.334
10 Ge 0.569 0.763 0.666
11 Ge 0.714 0.286 0.750
12 Ge 0.723 0.277 0.250
13 Ge 0.763 0.569 0.166
14 Ge 0.993 0.007 0.250
15 Rh 0.040 0.757 0.384
16 Rh 0.243 0.960 0.116
17 Rh 0.499 0.501 0.250
18 Rh 0.501 0.499 0.750
19 Rh 0.757 0.040 0.884
20 Rh 0.960 0.243 0.616

Calculated values
The value obtained for the total magnetic moment is 0.0 μB per formula unit.

***

Record 5
VASP calculation (PBE-GGA) on a relaxed structure of Sm2Ge2Rh.

Unit cell a=5.815 b=5.815 c=10.575 alpha=115.16 beta=115.16 gamma=43.96
Element x y z (fractional)
1 Sm 0.005 0.005 0.330
2 Sm 0.189 0.189 0.117
3 Sm 0.811 0.811 0.883
4 Sm 0.995 0.995 0.670
5 Ge 0.352 0.352 0.445
6 Ge 0.482 0.482 0.116
7 Ge 0.518 0.518 0.884
8 Ge 0.648 0.648 0.555
9 Rh 0.275 0.275 0.659
10 Rh 0.725 0.725 0.341

***

Record 6
VASP calculation (PBE-GGA) on a relaxed structure of Sm3Ge2Rh2.

Unit cell a=5.651 b=8.068 c=13.392 alpha=90.00 beta=90.00 gamma=90.00
Element x y z (fractional)
1 Sm 0.135 0.241 0.250
2 Sm 0.135 0.259 0.750
3 Sm 0.356 0.601 0.101
4 Sm 0.356 0.601 0.399
5 Sm 0.356 0.899 0.601
6 Sm 0.356 0.899 0.899
7 Sm 0.644 0.101 0.101
8 Sm 0.644 0.101 0.399
9 Sm 0.644 0.399 0.601
10 Sm 0.644 0.399 0.899
11 Sm 0.865 0.741 0.250
12 Sm 0.865 0.759 0.750
13 Ge 0.139 0.250 0.000
14 Ge 0.139 0.250 0.500
15 Ge 0.358 0.613 0.750
16 Ge 0.358 0.887 0.250
17 Ge 0.642 0.113 0.750
18 Ge 0.642 0.387 0.250
19 Ge 0.861 0.750 0.000
20 Ge 0.861 0.750 0.500
21 Rh 0.129 0.535 0.592
22 Rh 0.129 0.535 0.908
23 Rh 0.129 0.965 0.092
24 Rh 0.129 0.965 0.408
25 Rh 0.871 0.035 0.592
26 Rh 0.871 0.035 0.908
27 Rh 0.871 0.465 0.092
28 Rh 0.871 0.465 0.408

***

Here are the calculated energy of formation numbers, same order: -0.225, -0.190, -0.743, -0.810, -0.899, -0.877 (eV per atom).